No. 1
PBE-GGA UH4Se2O10, relaxed; ΔH_f (0 K) = -29.14 eV per formula unit
1.0
8.3808 0.0000 0.0000
0.0000 10.9316 0.0000
-6.7614 0.0000 9.7845
U H Se O
4 16 8 40
direct
0.1615 0.1962 0.3058
0.1615 0.3038 0.8058
0.8385 0.6962 0.1942
0.8385 0.8038 0.6942
0.1654 0.5558 0.5054
0.1654 0.9442 0.0054
0.3768 0.0213 0.1281
0.3768 0.4787 0.6281
0.3812 0.6200 0.5814
0.3812 0.8800 0.0814
0.4481 0.6323 0.1906
0.4481 0.8677 0.6906
0.5519 0.1323 0.3094
0.5519 0.3677 0.8094
0.6188 0.1200 0.9186
0.6188 0.3800 0.4186
0.6232 0.5213 0.3719
0.6232 0.9787 0.8719
0.8346 0.0558 0.9946
0.8346 0.4442 0.4946
0.2154 0.5051 0.1873
0.2154 0.9949 0.6873
0.3007 0.6258 0.9142
0.3007 0.8742 0.4142
0.6993 0.1258 0.5858
0.6993 0.3742 0.0858
0.7846 0.0051 0.3127
0.7846 0.4949 0.8127
0.0867 0.6825 0.8760
0.0867 0.8175 0.3760
0.1121 0.5850 0.2535
0.1121 0.9150 0.7535
0.1468 0.1135 0.1673
0.1468 0.3865 0.6673
0.1625 0.2299 0.9412
0.1625 0.2701 0.4412
0.2932 0.0233 0.4521
0.2932 0.4767 0.9521
0.3049 0.5429 0.5480
0.3049 0.9571 0.0480
0.3144 0.1192 0.7901
0.3144 0.3808 0.2901
0.3398 0.6464 0.7965
0.3398 0.8536 0.2965
0.4455 0.5903 0.2654
0.4455 0.9097 0.7654
0.4637 0.6957 0.0668
0.4637 0.8043 0.5668
0.5363 0.1957 0.4332
0.5363 0.3043 0.9332
0.5545 0.0903 0.2346
0.5545 0.4097 0.7346
0.6602 0.1464 0.7035
0.6602 0.3536 0.2035
0.6856 0.6192 0.7099
0.6856 0.8808 0.2099
0.6951 0.0429 0.9520
0.6951 0.4571 0.4520
0.7068 0.5233 0.0479
0.7068 0.9767 0.5479
0.8375 0.7299 0.5588
0.8375 0.7701 0.0588
0.8532 0.6135 0.3327
0.8532 0.8865 0.8327
0.8879 0.0850 0.2465
0.8879 0.4150 0.7465
0.9133 0.1825 0.6240
0.9133 0.3175 0.1240

No. 2
PBE-GGA Sb4Te7Pb, relaxed; ΔH_f (0 K) = -2.01 eV per formula unit
1.0
4.3804 0.0000 0.0000
-2.1902 3.7936 0.0000
0.0000 0.0000 24.1576
Sb Te Pb
4 7 1
direct
0.3333 0.6667 0.0806
0.3333 0.6667 0.3340
0.6667 0.3333 0.6660
0.6667 0.3333 0.9194
0.0000 0.0000 0.0000
0.0000 0.0000 0.2652
0.0000 0.0000 0.7348
0.3333 0.6667 0.5844
0.3333 0.6667 0.8497
0.6667 0.3333 0.1503
0.6667 0.3333 0.4156
0.0000 0.0000 0.5000

Number 1: V 13.18 Å³/atom. Number 2: V 33.45 Å³/atom.